(1)
DFT (GGA+U) results for an optimized crystal structure of Li6Mn3CrP6O24.

a b c (Å): 8.5017 8.5977 8.7732
angles (deg): 60.76 61.78 61.41
With the nearest neighbours (Å) after each atom.
Space group P1 (No. 1)
Unique sites:
Li 0.0000 0.0000 0.0000 [1 per cell]  3 O 2.05-2.25
Li 0.0879 0.5046 0.9025 [1 per cell]  3 O 2.12-2.27
Li 0.3466 0.1451 0.7300 [1 per cell]  3 O 2.08-2.14
Li 0.4989 0.9009 0.0997 [1 per cell]  2 O 2.10-2.12
Li 0.6803 0.3229 0.5051 [1 per cell]  2 O 2.09-2.15
Li 0.8512 0.6576 0.2744 [1 per cell]  3 O 2.07-2.18
Mn 0.1955 0.0202 0.6095 [1 per cell]  5 O 1.91-2.04
Mn 0.6950 0.5104 0.1052 [1 per cell]  5 O 1.91-2.10
Mn 0.9801 0.8028 0.3993 [1 per cell]  5 O 1.93-2.06
Cr 0.4858 0.3069 0.8974 [1 per cell]  6 O 1.95-2.06
P 0.0872 0.1991 0.2077 [1 per cell]  4 O 1.51-1.58
P 0.2957 0.7032 0.0031 [1 per cell]  4 O 1.53-1.56
P 0.3759 0.6264 0.5075 [1 per cell]  4 O 1.53-1.58
P 0.5885 0.1123 0.3005 [1 per cell]  4 O 1.54-1.57
P 0.7987 0.9139 0.7989 [1 per cell]  4 O 1.51-1.57
P 0.8934 0.4113 0.7003 [1 per cell]  4 O 1.53-1.57
O 0.0469 0.0350 0.2220 [1 per cell]  1 P 1.54
O 0.0798 0.2379 0.6935 [1 per cell]  1 P 1.57
O 0.1013 0.7234 0.1527 [1 per cell]  1 P 1.54
O 0.1177 0.1700 0.3771 [1 per cell]  1 P 1.51
O 0.2138 0.6532 0.4563 [1 per cell]  1 P 1.53
O 0.2514 0.2276 0.0233 [1 per cell]  1 P 1.56
O 0.2802 0.8989 0.8506 [1 per cell]  1 P 1.55
O 0.3326 0.5455 0.9427 [1 per cell]  1 P 1.53
O 0.3396 0.7899 0.5580 [1 per cell]  1 P 1.53
O 0.3975 0.4320 0.6706 [1 per cell]  1 P 1.58
O 0.4298 0.0915 0.4857 [1 per cell]  1 P 1.54
O 0.4566 0.6681 0.0662 [1 per cell]  1 P 1.56
O 0.5380 0.1448 0.1378 [1 per cell]  1 P 1.54
O 0.5689 0.6034 0.3523 [1 per cell]  1 P 1.56
O 0.6031 0.0741 0.8267 [1 per cell]  1 P 1.57
O 0.6409 0.2753 0.2744 [1 per cell]  1 P 1.55
O 0.7281 0.3566 0.7346 [1 per cell]  1 P 1.54
O 0.7621 0.9275 0.3047 [1 per cell]  1 P 1.57
O 0.7755 0.7450 0.9856 [1 per cell]  1 P 1.57
O 0.8330 0.8816 0.6303 [1 per cell]  1 P 1.51
O 0.8731 0.4613 0.8556 [1 per cell]  1 P 1.53
O 0.9069 0.5735 0.5132 [1 per cell]  1 P 1.55
O 0.9228 0.3937 0.1788 [1 per cell]  1 P 1.58
O 0.9600 0.9584 0.7884 [1 per cell]  1 P 1.54

***

(2)
DFT (GGA+U) results for an optimized crystal structure of Li8Mn3CrP6O24.

Values from the calculation:
For the energy above the most stable polymorph in this dataset, the calculation gives 5 meV/atom.

a b c (Å): 8.3836 8.5069 9.2258
angles (deg): 91.42 116.30 119.14
With the nearest neighbours (Å) after each atom.
Space group P1 (No. 1)
Unique sites:
Li 0.0000 0.0000 0.0000 [1 per cell]  3 O 1.93-2.03
Li 0.0465 0.2794 0.5106 [1 per cell]  4 O 1.93-2.10
Li 0.3009 0.1534 0.3092 [1 per cell]  4 O 2.00-2.06
Li 0.3512 0.4160 0.8242 [1 per cell]  4 O 2.01-2.17
Li 0.4740 0.9453 0.5460 [1 per cell]  4 O 1.95-2.13
Li 0.6048 0.8848 0.2633 [1 per cell]  3 O 1.92-1.98
Li 0.7436 0.5632 0.5659 [1 per cell]  3 O 1.96-1.98
Li 0.8580 0.4813 0.2717 [1 per cell]  4 O 1.92-2.11
Mn 0.3593 0.5684 0.4424 [1 per cell]  5 O 1.94-2.18
Mn 0.3814 0.0658 0.9716 [1 per cell]  6 O 2.07-2.26
Mn 0.9811 0.8654 0.3748 [1 per cell]  6 O 2.13-2.30
Cr 0.9652 0.3662 0.8511 [1 per cell]  6 O 1.97-2.16
P 0.1633 0.7554 0.1577 [1 per cell]  4 O 1.53-1.58
P 0.1711 0.6622 0.6576 [1 per cell]  4 O 1.50-1.58
P 0.4641 0.4699 0.1681 [1 per cell]  4 O 1.53-1.60
P 0.4719 0.2706 0.6663 [1 per cell]  4 O 1.52-1.57
P 0.8657 0.9727 0.6511 [1 per cell]  4 O 1.53-1.56
P 0.8893 0.1770 0.1585 [1 per cell]  4 O 1.53-1.59
O 0.0333 0.3694 0.3086 [1 per cell]  1 P 1.59
O 0.0576 0.0134 0.8190 [1 per cell]  1 P 1.53
O 0.0743 0.6108 0.9952 [1 per cell]  1 P 1.53
O 0.0993 0.4655 0.6943 [1 per cell]  1 P 1.58
O 0.2338 0.9539 0.1306 [1 per cell]  1 P 1.56
O 0.2599 0.4033 0.9945 [1 per cell]  1 P 1.55
O 0.2923 0.8235 0.8152 [1 per cell]  1 P 1.50
O 0.3278 0.7006 0.5923 [1 per cell]  1 P 1.58
O 0.3351 0.0797 0.5211 [1 per cell]  1 P 1.57
O 0.3691 0.7780 0.3085 [1 per cell]  1 P 1.58
O 0.3712 0.3882 0.6050 [1 per cell]  1 P 1.57
O 0.4123 0.4303 0.3154 [1 per cell]  1 P 1.60
O 0.4719 0.2487 0.8298 [1 per cell]  1 P 1.52
O 0.5485 0.3468 0.1599 [1 per cell]  1 P 1.54
O 0.6322 0.6811 0.2168 [1 per cell]  1 P 1.53
O 0.6726 0.0742 0.1477 [1 per cell]  1 P 1.54
O 0.6855 0.7585 0.5909 [1 per cell]  1 P 1.56
O 0.7015 0.3766 0.6931 [1 per cell]  1 P 1.57
O 0.7873 0.0982 0.6773 [1 per cell]  1 P 1.56
O 0.8720 0.2118 0.9914 [1 per cell]  1 P 1.53
O 0.9176 0.0188 0.5084 [1 per cell]  1 P 1.56
O 0.9668 0.6421 0.5114 [1 per cell]  1 P 1.56
O 0.9924 0.0613 0.2067 [1 per cell]  1 P 1.56
O 0.9977 0.7010 0.2114 [1 per cell]  1 P 1.54

***

no.,ΔE_f (eV per atom)
1,-2.537
2,-2.619